(1)
Here is a relaxed SiC crystal from the Materials Project database. Energies are from PBE.

a = 3.0942 Å, b = 3.0942 Å, c = 98.7097 Å
α = 90.00°, β = 90.00°, γ = 120.00°
Space group P3m1 (No. 156)
Asymmetric unit:
Si  0.0000  0.0000  0.0000 (multiplicity 1)
Si  0.0000  0.0000  0.0513 (multiplicity 1)
Si  0.0000  0.0000  0.1026 (multiplicity 1)
Si  0.0000  0.0000  0.2051 (multiplicity 1)
Si  0.0000  0.0000  0.2564 (multiplicity 1)
Si  0.0000  0.0000  0.3589 (multiplicity 1)
Si  0.0000  0.0000  0.4103 (multiplicity 1)
Si  0.0000  0.0000  0.5128 (multiplicity 1)
Si  0.0000  0.0000  0.5897 (multiplicity 1)
Si  0.0000  0.0000  0.6410 (multiplicity 1)
Si  0.0000  0.0000  0.6923 (multiplicity 1)
Si  0.0000  0.0000  0.7949 (multiplicity 1)
Si  0.0000  0.0000  0.8462 (multiplicity 1)
Si  0.0000  0.0000  0.9487 (multiplicity 1)
Si  0.3333  0.6667  0.0256 (multiplicity 1)
Si  0.3333  0.6667  0.1282 (multiplicity 1)
Si  0.3333  0.6667  0.1795 (multiplicity 1)
Si  0.3333  0.6667  0.2820 (multiplicity 1)
Si  0.3333  0.6667  0.3333 (multiplicity 1)
Si  0.3333  0.6667  0.4359 (multiplicity 1)
Si  0.3333  0.6667  0.4872 (multiplicity 1)
Si  0.3333  0.6667  0.5385 (multiplicity 1)
Si  0.3333  0.6667  0.6667 (multiplicity 1)
Si  0.3333  0.6667  0.7436 (multiplicity 1)
Si  0.3333  0.6667  0.8205 (multiplicity 1)
Si  0.3333  0.6667  0.8974 (multiplicity 1)
Si  0.6667  0.3333  0.0769 (multiplicity 1)
Si  0.6667  0.3333  0.1538 (multiplicity 1)
Si  0.6667  0.3333  0.2308 (multiplicity 1)
Si  0.6667  0.3333  0.3077 (multiplicity 1)
Si  0.6667  0.3333  0.3846 (multiplicity 1)
Si  0.6667  0.3333  0.4615 (multiplicity 1)
Si  0.6667  0.3333  0.5641 (multiplicity 1)
Si  0.6667  0.3333  0.6154 (multiplicity 1)
Si  0.6667  0.3333  0.7179 (multiplicity 1)
Si  0.6667  0.3333  0.7692 (multiplicity 1)
Si  0.6667  0.3333  0.8718 (multiplicity 1)
Si  0.6667  0.3333  0.9231 (multiplicity 1)
Si  0.6667  0.3333  0.9744 (multiplicity 1)
C  0.0000  0.0000  0.0192 (multiplicity 1)
C  0.0000  0.0000  0.0705 (multiplicity 1)
C  0.0000  0.0000  0.1218 (multiplicity 1)
C  0.0000  0.0000  0.2243 (multiplicity 1)
C  0.0000  0.0000  0.2757 (multiplicity 1)
C  0.0000  0.0000  0.3782 (multiplicity 1)
C  0.0000  0.0000  0.4295 (multiplicity 1)
C  0.0000  0.0000  0.5321 (multiplicity 1)
C  0.0000  0.0000  0.6090 (multiplicity 1)
C  0.0000  0.0000  0.6602 (multiplicity 1)
C  0.0000  0.0000  0.7116 (multiplicity 1)
C  0.0000  0.0000  0.8141 (multiplicity 1)
C  0.0000  0.0000  0.8654 (multiplicity 1)
C  0.0000  0.0000  0.9680 (multiplicity 1)
C  0.3333  0.6667  0.0449 (multiplicity 1)
C  0.3333  0.6667  0.1474 (multiplicity 1)
C  0.3333  0.6667  0.1987 (multiplicity 1)
C  0.3333  0.6667  0.3013 (multiplicity 1)
C  0.3333  0.6667  0.3526 (multiplicity 1)
C  0.3333  0.6667  0.4551 (multiplicity 1)
C  0.3333  0.6667  0.5064 (multiplicity 1)
C  0.3333  0.6667  0.5577 (multiplicity 1)
C  0.3333  0.6667  0.6860 (multiplicity 1)
C  0.3333  0.6667  0.7629 (multiplicity 1)
C  0.3333  0.6667  0.8398 (multiplicity 1)
C  0.3333  0.6667  0.9167 (multiplicity 1)
C  0.6667  0.3333  0.0962 (multiplicity 1)
C  0.6667  0.3333  0.1731 (multiplicity 1)
C  0.6667  0.3333  0.2501 (multiplicity 1)
C  0.6667  0.3333  0.3270 (multiplicity 1)
C  0.6667  0.3333  0.4039 (multiplicity 1)
C  0.6667  0.3333  0.4808 (multiplicity 1)
C  0.6667  0.3333  0.5833 (multiplicity 1)
C  0.6667  0.3333  0.6347 (multiplicity 1)
C  0.6667  0.3333  0.7372 (multiplicity 1)
C  0.6667  0.3333  0.7885 (multiplicity 1)
C  0.6667  0.3333  0.8910 (multiplicity 1)
C  0.6667  0.3333  0.9423 (multiplicity 1)
C  0.6667  0.3333  0.9936 (multiplicity 1)

Summary:
raw total energy	-587.37	eV for the cell shown
density	3.2	g/cm3
energy relative to the lowest polymorph listed for this composition	0.000	eV per atom
energy of formation	-203	meV/atom

(2)
Here is a relaxed Ca3Ga2Ge3O12 crystal from the Materials Project database. Energies are from PBE.

a = 12.408 Å, b = 12.408 Å, c = 12.408 Å
α = 90.00°, β = 90.00°, γ = 90.00°
Space group Ia-3d (No. 230)
Asymmetric unit:
Ca  0.000  0.250  0.125 (multiplicity 24)
Ga  0.000  0.000  0.000 (multiplicity 16)
Ge  0.000  0.250  0.375 (multiplicity 24)
O  0.033  0.051  0.651 (multiplicity 96)

Summary:
raw total energy	-1041.40	eV for the cell shown
density	4.7	g/cm3
energy of formation	-2655	meV/atom

(3)
Here is a relaxed Sr3Ta5O15 crystal from the Materials Project database. Energies are from PBE.

a = 12.597 Å, b = 12.597 Å, c = 3.979 Å
α = 90.00°, β = 90.00°, γ = 90.00°
Space group P4/mbm (No. 127)
Asymmetric unit:
Sr  0.000  0.000  0.000 (multiplicity 2)
Sr  0.163  0.337  0.000 (multiplicity 4)
Ta  0.000  0.500  0.500 (multiplicity 2)
Ta  0.080  0.790  0.500 (multiplicity 8)
O  0.000  0.500  0.000 (multiplicity 2)
O  0.009  0.342  0.500 (multiplicity 8)
O  0.063  0.136  0.500 (multiplicity 8)
O  0.081  0.793  0.000 (multiplicity 8)
O  0.229  0.729  0.500 (multiplicity 4)

Summary:
raw total energy	-414.39	eV for the cell shown
density	7.4	g/cm3
energy of formation	-3431	meV/atom

(4)
Here is a relaxed Ag2F3 crystal from the Materials Project database. Energies are from PBE.

a = 5.8787 Å, b = 5.8787 Å, c = 16.2120 Å
α = 90.00°, β = 90.00°, γ = 120.00°
Space group R-3c (No. 167, hexagonal axes)
Asymmetric unit:
Ag  0.0000  0.0000  0.1523 (multiplicity 12)
F  0.0000  0.3085  0.2500 (multiplicity 18)

Summary:
raw total energy	-99.96	eV for the cell shown
density	5.6	g/cm3
energy of formation	-1328	meV/atom

(5)
Here is a relaxed Rb3ErO3 crystal from the Materials Project database. Energies are from PBE.

a = 7.727 Å, b = 12.390 Å, c = 7.240 Å
α = 90.00°, β = 99.20°, γ = 90.00°
Space group C2/m (No. 12)
Asymmetric unit:
Rb  0.000  0.204  0.000 (multiplicity 4)
Rb  0.000  0.261  0.500 (multiplicity 4)
Rb  0.136  0.500  0.856 (multiplicity 4)
Er  0.176  0.000  0.649 (multiplicity 4)
O  0.102  0.000  0.344 (multiplicity 4)
O  0.196  0.362  0.233 (multiplicity 8)

Summary:
raw total energy	-143.46	eV for the cell shown
density	4.6	g/cm3
energy relative to the lowest polymorph listed for this composition	0.010	eV per atom
energy of formation	-2225	meV/atom

(6)
Here is a relaxed Si6Ni3Au crystal from the Materials Project database. Energies are from PBE.

a = 3.7857 Å, b = 3.7857 Å, c = 34.0938 Å
α = 90.00°, β = 90.00°, γ = 120.00°
Space group R-3m (No. 166, hexagonal axes)
Asymmetric unit:
Si  0.0000  0.0000  0.0698 (multiplicity 6)
Si  0.0000  0.0000  0.2137 (multiplicity 6)
Si  0.0000  0.0000  0.3577 (multiplicity 6)
Ni  0.0000  0.0000  0.0000 (multiplicity 3)
Ni  0.0000  0.0000  0.4248 (multiplicity 6)
Au  0.0000  0.0000  0.5000 (multiplicity 3)

Summary:
raw total energy	-169.18	eV for the cell shown
density	6.4	g/cm3
energy of formation	-323	meV/atom

(7)
Here is a relaxed Tb11Sn10 crystal from the Materials Project database. Energies are from PBE.

a = 11.702 Å, b = 11.702 Å, c = 17.196 Å
α = 90.00°, β = 90.00°, γ = 90.00°
Space group I4/mmm (No. 139)
Asymmetric unit:
Tb  0.000  0.000  0.163 (multiplicity 4)
Tb  0.000  0.252  0.311 (multiplicity 16)
Tb  0.000  0.329  0.102 (multiplicity 16)
Tb  0.174  0.174  0.500 (multiplicity 8)
Sn  0.000  0.000  0.388 (multiplicity 4)
Sn  0.000  0.357  0.500 (multiplicity 8)
Sn  0.000  0.500  0.250 (multiplicity 4)
Sn  0.129  0.129  0.000 (multiplicity 8)
Sn  0.207  0.207  0.176 (multiplicity 16)

Summary:
raw total energy	-426.96	eV for the cell shown
density	8.3	g/cm3
energy of formation	-746	meV/atom

(8)
Here is a relaxed TiZnPd2 crystal from the Materials Project database. Energies are from PBE.

a = 6.236 Å, b = 6.236 Å, c = 6.236 Å
α = 90.00°, β = 90.00°, γ = 90.00°
Space group Fm-3m (No. 225)
Asymmetric unit:
Ti  0.000  0.000  0.000 (multiplicity 4)
Zn  0.000  0.000  0.500 (multiplicity 4)
Pd  0.250  0.250  0.250 (multiplicity 8)

Summary:
raw total energy	-87.37	eV for the cell shown
density	8.9	g/cm3
energy of formation	-582	meV/atom

(9)
Here is a relaxed NaCu2Se2O10 crystal from the Materials Project database. Energies are from PBE.

a = 9.419 Å, b = 6.188 Å, c = 8.394 Å
α = 90.00°, β = 122.22°, γ = 90.00°
Space group C2/m (No. 12)
Asymmetric unit:
Na  0.000  0.000  0.000 (multiplicity 2)
Cu  0.250  0.250  0.500 (multiplicity 4)
Se  0.084  0.500  0.791 (multiplicity 4)
O  0.040  0.273  0.269 (multiplicity 8)
O  0.180  0.000  0.546 (multiplicity 4)
O  0.189  0.500  0.683 (multiplicity 4)
O  0.211  0.500  0.021 (multiplicity 4)

Summary:
raw total energy	-149.60	eV for the cell shown
density	3.8	g/cm3
energy of formation	-1045	meV/atom

(10)
Here is a relaxed K2PbO3 crystal from the Materials Project database. Energies are from PBE.

a = 10.831 Å, b = 7.088 Å, c = 6.103 Å
α = 90.00°, β = 90.00°, γ = 90.00°
Space group Cmc2_1 (No. 36)
Asymmetric unit:
K  0.163  0.140  0.000 (multiplicity 8)
Pb  0.000  0.401  0.537 (multiplicity 4)
O  0.000  0.123  0.634 (multiplicity 4)
O  0.133  0.469  0.274 (multiplicity 8)

Summary:
maximum piezoelectric response	0.6	C/m²
raw total energy	-113.04	eV for the cell shown
density	4.7	g/cm3
energy of formation	-1591	meV/atom